# 1
This record from the Materials Project database describes a relaxed structure of NaTa2In2P5SO24. The functional is PBE.

a = 8.831 Å, b = 8.822 Å, c = 22.916 Å
α = 89.86°, β = 90.10°, γ = 119.92°
Sites, in units of the cell vectors:
O  0.802  0.839  0.909
O  0.327  0.857  0.259
O  0.700  0.152  0.027
O  0.308  0.470  0.765
O  0.827  0.791  0.303
O  0.495  0.864  0.074
O  0.985  0.806  0.090
O  0.188  0.169  0.806
O  0.529  0.839  0.765
O  0.848  0.547  0.027
O  0.306  0.469  0.470
O  0.468  0.304  0.751
O  0.517  0.882  0.361
O  0.978  0.809  0.806
O  0.964  0.164  0.305
O  0.198  0.034  0.305
O  0.150  0.467  0.259
O  0.474  0.179  0.242
O  0.820  0.811  0.590
O  0.042  0.818  0.697
O  0.194  0.182  0.088
O  0.162  0.696  0.470
O  0.019  0.209  0.195
O  0.452  0.142  0.531
O  0.824  0.300  0.242
O  0.507  0.652  0.862
O  0.348  0.855  0.862
O  0.368  0.487  0.361
O  0.186  0.973  0.196
O  0.856  0.304  0.531
O  0.829  0.023  0.806
O  0.785  0.807  0.197
O  0.778  0.962  0.697
O  0.163  0.691  0.765
O  0.894  0.374  0.635
O  0.656  0.142  0.425
O  0.532  0.838  0.470
O  0.116  0.634  0.361
O  0.455  0.303  0.027
O  0.483  0.105  0.635
O  0.497  0.360  0.137
O  0.164  0.468  0.972
O  0.354  0.858  0.572
O  0.639  0.134  0.137
O  0.700  0.529  0.244
O  0.640  0.509  0.918
O  0.870  0.361  0.918
O  0.135  0.632  0.074
O  0.531  0.695  0.972
O  0.370  0.505  0.073
O  0.036  0.198  0.909
O  0.491  0.130  0.918
O  0.620  0.512  0.638
O  0.140  0.499  0.571
O  0.162  0.964  0.909
O  0.145  0.493  0.862
O  0.199  0.014  0.590
O  0.180  0.218  0.696
O  0.305  0.836  0.972
O  0.162  0.199  0.408
O  0.995  0.190  0.590
O  0.032  0.839  0.406
O  0.838  0.529  0.751
O  0.858  0.513  0.423
O  0.499  0.644  0.569
O  0.863  0.502  0.137
O  0.537  0.680  0.258
O  0.805  0.966  0.406
O  0.818  0.008  0.090
O  0.485  0.342  0.423
O  0.696  0.546  0.529
O  0.692  0.166  0.749
In  0.668  0.338  0.482
In  0.329  0.667  0.313
In  0.995  0.994  0.648
In  0.667  0.334  0.978
In  0.004  0.003  0.148
In  0.665  0.339  0.687
P  0.288  0.287  0.751
P  0.618  0.669  0.917
P  0.379  0.333  0.082
P  0.624  0.958  0.415
P  0.051  0.382  0.916
P  0.997  0.288  0.250
P  0.331  0.949  0.916
P  0.043  0.666  0.416
P  0.337  0.381  0.415
P  0.953  0.622  0.082
P  0.668  0.044  0.082
P  0.291  0.004  0.251
P  0.667  0.628  0.583
P  0.000  0.710  0.752
P  0.710  0.003  0.751
Ta  0.006  0.008  0.358
Ta  0.332  0.666  0.025
Ta  0.665  0.327  0.187
Ta  0.334  0.666  0.810
Ta  0.999  0.000  0.855
Ta  0.338  0.667  0.519
Na  0.001  0.000  0.006
Na  0.668  0.332  0.339
Na  0.666  0.333  0.833
S  0.965  0.336  0.583
S  0.373  0.036  0.583
S  0.712  0.707  0.251

Results
Magnetization (μB per cell): 0.000
Uncorrected energy (eV/f.u.): -257.6
Calculated formation energy (eV per atom): -2.673


# 2
This record from the Materials Project database describes a relaxed structure of Na3Ti2In2P5SO24. The functional is PBE.

a = 8.821 Å, b = 8.810 Å, c = 22.499 Å
α = 90.13°, β = 90.00°, γ = 119.78°
Sites, in units of the cell vectors:
O  0.782  0.810  0.193
O  0.144  0.437  0.973
O  0.966  0.799  0.084
O  0.475  0.303  0.744
O  0.168  0.990  0.906
O  0.813  0.824  0.909
O  0.863  0.352  0.643
O  0.482  0.161  0.527
O  0.961  0.166  0.585
O  0.480  0.321  0.028
O  0.316  0.474  0.760
O  0.204  0.023  0.303
O  0.321  0.852  0.255
O  0.499  0.866  0.082
O  0.499  0.635  0.581
O  0.827  0.800  0.584
O  0.205  0.038  0.583
O  0.365  0.499  0.081
O  0.841  0.321  0.530
O  0.297  0.437  0.470
O  0.680  0.158  0.028
O  0.651  0.144  0.141
O  0.147  0.712  0.472
O  0.154  0.474  0.257
O  0.108  0.476  0.861
O  0.135  0.501  0.582
O  0.526  0.843  0.756
O  0.007  0.177  0.906
O  0.514  0.886  0.364
O  0.196  0.978  0.195
O  0.377  0.875  0.582
O  0.836  0.029  0.800
O  0.652  0.509  0.640
O  0.521  0.678  0.257
O  0.176  0.185  0.408
O  0.103  0.622  0.362
O  0.368  0.472  0.364
O  0.527  0.632  0.864
O  0.126  0.623  0.082
O  0.780  0.975  0.689
O  0.494  0.350  0.141
O  0.824  0.799  0.304
O  0.564  0.858  0.475
O  0.180  0.221  0.695
O  0.010  0.833  0.405
O  0.678  0.521  0.527
O  0.700  0.174  0.745
O  0.659  0.512  0.924
O  0.291  0.854  0.972
O  0.029  0.810  0.693
O  0.825  0.301  0.244
O  0.840  0.521  0.027
O  0.469  0.168  0.247
O  0.818  0.990  0.406
O  0.977  0.804  0.805
O  0.856  0.507  0.140
O  0.659  0.154  0.426
O  0.976  0.166  0.301
O  0.380  0.901  0.863
O  0.491  0.157  0.928
O  0.488  0.340  0.425
O  0.826  0.522  0.745
O  0.148  0.668  0.757
O  0.845  0.509  0.427
O  0.201  0.172  0.804
O  0.562  0.702  0.970
O  0.695  0.522  0.244
O  0.834  0.040  0.084
O  0.202  0.171  0.085
O  0.496  0.148  0.639
O  0.027  0.221  0.189
O  0.845  0.341  0.926
Na  0.674  0.334  0.333
Na  0.003  0.364  0.751
Na  0.012  0.996  0.499
Na  0.346  0.674  0.169
Na  0.042  0.332  0.084
Na  0.656  0.327  0.835
Na  0.005  0.991  0.998
Na  0.669  0.960  0.584
Na  0.334  0.669  0.668
P  0.296  0.293  0.750
P  0.948  0.618  0.083
P  0.995  0.706  0.750
P  0.032  0.669  0.416
P  0.631  0.967  0.418
P  0.704  0.703  0.249
P  0.955  0.338  0.585
P  0.664  0.616  0.583
P  0.708  0.000  0.748
P  0.385  0.335  0.084
P  0.662  0.046  0.085
P  0.332  0.970  0.917
P  0.030  0.363  0.917
P  0.385  0.054  0.583
P  0.997  0.291  0.248
Ti  0.673  0.340  0.187
Ti  0.664  0.326  0.982
Ti  0.979  0.989  0.350
Ti  0.010  0.007  0.849
Ti  0.662  0.336  0.687
Ti  0.675  0.337  0.481
S  0.638  0.668  0.917
S  0.295  0.006  0.250
S  0.331  0.360  0.417
In  0.326  0.666  0.518
In  0.328  0.665  0.318
In  0.007  0.999  0.646
In  0.334  0.672  0.018
In  0.336  0.677  0.819
In  0.996  0.994  0.146

Results
Magnetization (μB per cell): 0.000
Uncorrected energy (eV/f.u.): -257.6
Calculated formation energy (eV per atom): -2.672


# 3
This record from the Materials Project database describes a relaxed structure of Na5Y2In2P5SO24. The functional is PBE.

a = 9.169 Å, b = 9.181 Å, c = 23.204 Å
α = 90.22°, β = 90.06°, γ = 120.06°
Sites, in units of the cell vectors:
Na  0.351  0.648  0.667
Na  0.649  0.999  0.250
Na  0.999  0.014  0.994
Na  0.699  0.348  0.334
Na  0.340  0.636  0.167
Na  0.026  0.333  0.083
Na  0.023  0.019  0.505
Na  0.028  0.696  0.584
Na  0.305  0.973  0.077
Na  0.996  0.363  0.749
Na  0.669  0.972  0.587
Na  0.365  0.000  0.750
Na  0.651  0.322  0.834
Na  0.705  0.674  0.421
Na  0.980  0.666  0.916
Y  0.000  0.002  0.353
Y  0.666  0.322  0.485
Y  0.989  0.989  0.148
Y  0.316  0.658  0.316
Y  0.673  0.352  0.183
Y  0.341  0.664  0.013
P  0.667  0.638  0.583
P  0.999  0.701  0.751
P  0.628  0.960  0.418
P  0.331  0.971  0.914
P  0.030  0.668  0.423
P  0.366  0.328  0.081
P  0.693  0.697  0.255
P  0.665  0.040  0.084
P  0.299  0.300  0.750
P  0.971  0.334  0.589
P  0.700  0.001  0.748
P  0.997  0.299  0.246
P  0.363  0.030  0.588
P  0.026  0.362  0.914
P  0.966  0.631  0.075
O  0.847  0.515  0.421
O  0.449  0.138  0.535
O  0.180  0.999  0.591
O  0.494  0.367  0.422
O  0.695  0.157  0.032
O  0.531  0.871  0.362
O  0.000  0.183  0.910
O  0.189  0.200  0.417
O  0.124  0.654  0.371
O  0.469  0.110  0.644
O  0.519  0.847  0.755
O  0.348  0.470  0.368
O  0.814  0.818  0.910
O  0.142  0.644  0.074
O  0.825  0.022  0.085
O  0.868  0.554  0.019
O  0.466  0.346  0.136
O  0.181  0.222  0.698
O  0.644  0.116  0.141
O  0.794  0.807  0.203
O  0.008  0.218  0.189
O  0.477  0.151  0.249
O  0.118  0.675  0.481
O  0.115  0.473  0.860
O  0.523  0.695  0.253
O  0.312  0.475  0.757
O  0.353  0.886  0.859
O  0.853  0.359  0.916
O  0.789  0.780  0.312
O  0.351  0.854  0.584
O  0.216  0.992  0.194
O  0.336  0.480  0.078
O  0.821  0.032  0.798
O  0.770  0.975  0.690
O  0.474  0.313  0.744
O  0.846  0.520  0.747
O  0.316  0.453  0.473
O  0.212  0.008  0.299
O  0.690  0.559  0.527
O  0.876  0.520  0.128
O  0.226  0.185  0.804
O  0.805  0.975  0.417
O  0.485  0.151  0.917
O  0.015  0.830  0.420
O  0.644  0.528  0.636
O  0.161  0.971  0.911
O  0.853  0.306  0.538
O  0.503  0.867  0.077
O  0.990  0.188  0.298
O  0.829  0.301  0.249
O  0.541  0.852  0.472
O  0.515  0.669  0.580
O  0.313  0.865  0.968
O  0.669  0.519  0.252
O  0.663  0.516  0.915
O  0.645  0.135  0.420
O  0.189  0.165  0.083
O  0.129  0.445  0.969
O  0.453  0.309  0.027
O  0.564  0.684  0.966
O  0.027  0.810  0.697
O  0.540  0.649  0.861
O  0.831  0.814  0.588
O  0.978  0.782  0.807
O  0.998  0.813  0.082
O  0.894  0.364  0.645
O  0.325  0.850  0.250
O  0.163  0.686  0.754
O  0.982  0.171  0.592
O  0.145  0.496  0.582
O  0.683  0.163  0.746
O  0.149  0.478  0.249
S  0.335  0.373  0.420
S  0.642  0.667  0.913
S  0.305  0.002  0.248
In  0.006  0.010  0.847
In  0.661  0.325  0.981
In  0.666  0.343  0.682
In  0.328  0.669  0.519
In  0.000  0.002  0.654
In  0.336  0.669  0.817

Results
Magnetization (μB per cell): 0.000
Uncorrected energy (eV/f.u.): -265.1
Calculated formation energy (eV per atom): -2.734


# 4
This record from the Materials Project database describes a relaxed structure of NaYInPS2O12. The functional is PBE.

a = 8.987 Å, b = 8.993 Å, c = 24.126 Å
α = 89.89°, β = 90.25°, γ = 120.14°
Sites, in units of the cell vectors:
O  0.193  0.220  0.702
O  0.811  0.981  0.410
O  0.471  0.119  0.634
O  0.522  0.829  0.758
O  0.649  0.145  0.418
O  0.161  0.685  0.758
O  0.120  0.474  0.864
O  0.546  0.685  0.966
O  0.308  0.863  0.967
O  0.681  0.156  0.750
O  0.451  0.136  0.533
O  0.685  0.528  0.243
O  0.472  0.352  0.135
O  0.834  0.030  0.092
O  0.197  0.023  0.589
O  0.307  0.473  0.759
O  0.784  0.974  0.702
O  0.647  0.120  0.135
O  0.867  0.512  0.418
O  0.987  0.182  0.588
O  0.135  0.492  0.579
O  0.862  0.313  0.533
O  0.319  0.838  0.252
O  0.863  0.353  0.920
O  0.485  0.166  0.243
O  0.170  0.990  0.909
O  0.830  0.809  0.586
O  0.195  0.977  0.195
O  0.121  0.642  0.364
O  0.363  0.894  0.863
O  0.880  0.349  0.634
O  0.777  0.807  0.198
O  0.526  0.638  0.865
O  0.546  0.860  0.467
O  0.523  0.677  0.253
O  0.965  0.803  0.088
O  0.680  0.538  0.531
O  0.345  0.862  0.580
O  0.160  0.473  0.254
O  0.023  0.216  0.198
O  0.655  0.524  0.636
O  0.843  0.538  0.031
O  0.313  0.456  0.464
O  0.851  0.533  0.748
O  0.348  0.478  0.363
O  0.651  0.511  0.921
O  0.979  0.196  0.298
O  0.468  0.323  0.749
O  0.141  0.451  0.965
O  0.848  0.320  0.243
O  0.499  0.155  0.923
O  0.140  0.681  0.466
O  0.865  0.516  0.137
O  0.811  0.018  0.807
O  0.130  0.642  0.080
O  0.017  0.196  0.910
O  0.523  0.868  0.079
O  0.803  0.822  0.911
O  0.985  0.787  0.803
O  0.213  0.195  0.803
O  0.447  0.302  0.034
O  0.026  0.822  0.411
O  0.194  0.175  0.089
O  0.505  0.646  0.582
O  0.489  0.361  0.417
O  0.030  0.808  0.703
O  0.179  0.202  0.410
O  0.698  0.143  0.034
O  0.220  0.026  0.300
O  0.802  0.781  0.298
O  0.525  0.880  0.361
O  0.355  0.485  0.078
P  0.303  0.003  0.248
P  0.948  0.621  0.085
P  0.668  0.628  0.584
P  0.701  0.996  0.755
P  0.632  0.965  0.414
P  0.334  0.973  0.916
S  0.631  0.665  0.916
S  0.698  0.699  0.248
S  0.293  0.302  0.753
S  0.003  0.300  0.248
S  0.007  0.705  0.753
S  0.036  0.370  0.914
S  0.966  0.335  0.583
S  0.676  0.043  0.085
S  0.370  0.329  0.084
S  0.333  0.377  0.413
S  0.041  0.665  0.415
S  0.366  0.036  0.584
In  0.665  0.331  0.183
In  0.665  0.332  0.983
In  0.005  0.987  0.150
In  0.345  0.685  0.820
In  0.001  0.001  0.850
In  0.338  0.684  0.315
Y  0.665  0.333  0.481
Y  0.349  0.673  0.518
Y  0.985  0.991  0.651
Y  0.665  0.331  0.687
Y  0.322  0.674  0.018
Y  0.002  0.001  0.349
Na  0.006  0.988  0.000
Na  0.978  0.986  0.500
Na  0.354  0.673  0.669
Na  0.660  0.314  0.836
Na  0.655  0.313  0.331
Na  0.321  0.673  0.169

Results
Magnetization (μB per cell): 0.016
Uncorrected energy (eV/f.u.): -120.1
Calculated formation energy (eV per atom): -2.484